1.
Entry from the Materials Project database: a geometry-optimized LaH2 structure (r2SCAN).

Lattice parameters (Å, degrees): 4.000 4.000 4.000 60.00 60.00 60.00
Atoms (fractional coordinates):
La 0.000 0.000 0.000
H 0.750 0.750 0.750
H 0.250 0.250 0.250

Output
The volume is 15.08 Å³/atom. The energy is -12.964 eV/atom. Its crystal system is cubic. Its spin magnetization is 0.000 Bohr magnetons per cell.

2.
Entry from the Materials Project database: a geometry-optimized NaCeAu2 structure (r2SCAN).

Lattice parameters (Å, degrees): 5.094 5.094 5.094 60.00 60.00 60.00
Atoms (fractional coordinates):
Au 0.750 0.750 0.750
Na 0.000 0.000 0.000
Au 0.250 0.250 0.250
Ce 0.500 0.500 0.500

Output
The volume is 23.36 Å³/atom. The energy is -34.509 eV/atom. Its crystal system is cubic. Its spin magnetization is 1.202 Bohr magnetons per cell.

3.
Entry from the Materials Project database: a geometry-optimized YbThPt2 structure (r2SCAN).

Lattice parameters (Å, degrees): 5.006 5.006 5.006 60.00 60.00 60.00
Atoms (fractional coordinates):
Yb 0.000 0.000 0.000
Th 0.500 0.500 0.500
Pt 0.250 0.250 0.250
Pt 0.750 0.750 0.750

Output
The volume is 22.17 Å³/atom. The energy is -54.466 eV/atom. Its crystal system is cubic. Its spin magnetization is 0.000 Bohr magnetons per cell.

4.
Entry from the Materials Project database: a geometry-optimized ZnCrO4 structure (r2SCAN).

Lattice parameters (Å, degrees): 4.977 4.977 6.289 90.00 90.00 67.21
Atoms (fractional coordinates):
O 0.222 0.726 0.250
O 0.754 0.754 0.960
O 0.754 0.754 0.540
O 0.778 0.274 0.750
Cr 0.359 0.359 0.250
O 0.726 0.222 0.250
O 0.246 0.246 0.460
O 0.246 0.246 0.040
O 0.274 0.778 0.750
Zn 0.000 0.000 0.500
Zn 0.000 0.000 0.000
Cr 0.641 0.641 0.750

Output
The volume is 11.97 Å³/atom. The energy is -9.736 eV/atom. Its crystal system is orthorhombic. Its spin magnetization is 0.000 Bohr magnetons per cell.

5.
Entry from the Materials Project database: a geometry-optimized NdGaSi structure (r2SCAN).

Lattice parameters (Å, degrees): 7.718 7.718 7.718 148.29 148.29 45.45
Atoms (fractional coordinates):
Si 0.458 0.458 0.000
Ga 0.042 0.542 0.500
Nd 0.625 0.125 0.500
Si 0.208 0.708 0.500
Ga 0.292 0.292 0.000
Nd 0.875 0.875 0.000

Output
The volume is 21.10 Å³/atom. The energy is -17.341 eV/atom. Its crystal system is tetragonal. Its spin magnetization is 0.000 Bohr magnetons per cell.

6.
Entry from the Materials Project database: a geometry-optimized GdSi2Ni structure (r2SCAN).

Lattice parameters (Å, degrees): 8.412 8.412 3.976 90.00 90.00 152.24
Atoms (fractional coordinates):
Gd 0.894 0.106 0.750
Si 0.750 0.250 0.250
Si 0.459 0.541 0.250
Si 0.250 0.750 0.750
Si 0.541 0.459 0.750
Ni 0.679 0.321 0.750
Gd 0.106 0.894 0.250
Ni 0.321 0.679 0.250

Output
The volume is 16.39 Å³/atom. The energy is -19.075 eV/atom. Its crystal system is orthorhombic. Its spin magnetization is 14.231 Bohr magnetons per cell.

7.
Entry from the Materials Project database: a geometry-optimized PaGa3 structure (r2SCAN).

Lattice parameters (Å, degrees): 4.273 4.272 4.273 90.00 90.00 90.00
Atoms (fractional coordinates):
Pa 0.000 0.000 0.000
Ga 0.500 0.000 0.500
Ga 0.500 0.500 0.000
Ga 0.000 0.500 0.500

Output
The volume is 19.50 Å³/atom. The energy is -28.180 eV/atom. Its crystal system is cubic. Its spin magnetization is 0.023 Bohr magnetons per cell.

8.
Entry from the Materials Project database: a geometry-optimized Lu2NiIr structure (r2SCAN).

Lattice parameters (Å, degrees): 4.672 4.672 4.672 60.00 60.00 60.00
Atoms (fractional coordinates):
Ni 0.750 0.750 0.750
Lu 0.500 0.500 0.500
Lu 0.000 0.000 0.000
Ir 0.250 0.250 0.250

Output
The volume is 18.03 Å³/atom. The energy is -35.959 eV/atom. Its crystal system is cubic. Its spin magnetization is 0.002 Bohr magnetons per cell.

9.
Entry from the Materials Project database: a geometry-optimized CsK structure (r2SCAN).

Lattice parameters (Å, degrees): 5.008 5.008 7.886 90.00 90.00 99.22
Atoms (fractional coordinates):
K 0.500 0.500 0.500
Cs 0.000 0.000 0.000

Output
The volume is 97.60 Å³/atom. The energy is -15.542 eV/atom. Its crystal system is orthorhombic. Its spin magnetization is 0.000 Bohr magnetons per cell.

10.
Entry from the Materials Project database: a geometry-optimized Tm2NiOs structure (r2SCAN).

Lattice parameters (Å, degrees): 4.702 4.702 4.702 60.00 60.00 60.00
Atoms (fractional coordinates):
Tm 0.500 0.500 0.500
Os 0.750 0.750 0.750
Tm 0.000 0.000 0.000
Ni 0.250 0.250 0.250

Output
The volume is 18.38 Å³/atom. The energy is -34.225 eV/atom. Its crystal system is cubic. Its spin magnetization is 0.002 Bohr magnetons per cell.

11.
Entry from the Materials Project database: a geometry-optimized Pm2CuNi structure (r2SCAN).

Lattice parameters (Å, degrees): 4.944 4.944 4.944 60.00 60.00 60.00
Atoms (fractional coordinates):
Pm 0.750 0.750 0.750
Pm 0.250 0.250 0.250
Cu 0.500 0.500 0.500
Ni 0.000 0.000 0.000

Output
The volume is 21.37 Å³/atom. The energy is -20.668 eV/atom. Its crystal system is cubic. Its spin magnetization is 0.000 Bohr magnetons per cell.

12.
Entry from the Materials Project database: a geometry-optimized Cs2PSe5 structure (r2SCAN).

Lattice parameters (Å, degrees): 7.497 7.624 10.346 85.55 87.86 85.27
Atoms (fractional coordinates):
Se 0.269 0.773 0.990
Cs 0.778 0.722 0.031
P 0.249 0.790 0.779
Se 0.595 0.605 0.541
Se 0.698 0.961 0.324
Se 0.731 0.227 0.010
Se 0.504 0.595 0.758
Se 0.302 0.039 0.676
Cs 0.200 0.858 0.365
Cs 0.222 0.278 0.969
P 0.751 0.210 0.221
Se 0.496 0.405 0.242
Cs 0.800 0.142 0.635
Se 0.405 0.395 0.459
Se 0.021 0.674 0.709
Se 0.979 0.326 0.291

Output
The volume is 36.71 Å³/atom. The energy is -17.124 eV/atom. Its crystal system is triclinic. Its spin magnetization is 0.000 Bohr magnetons per cell.

13.
Entry from the Materials Project database: a geometry-optimized HoB2Ru structure (r2SCAN).

Lattice parameters (Å, degrees): 5.287 5.869 6.326 90.00 90.00 90.00
Atoms (fractional coordinates):
Ho 0.250 0.010 0.664
B 0.416 0.868 0.039
Ho 0.250 0.510 0.836
Ru 0.250 0.681 0.318
Ru 0.250 0.181 0.182
Ru 0.750 0.319 0.682
B 0.916 0.632 0.539
B 0.416 0.368 0.461
B 0.916 0.132 0.961
Ru 0.750 0.819 0.818
B 0.084 0.868 0.039
Ho 0.750 0.990 0.336
B 0.584 0.632 0.539
B 0.084 0.368 0.461
B 0.584 0.132 0.961
Ho 0.750 0.490 0.164

Output
The volume is 12.27 Å³/atom. The energy is -18.934 eV/atom. Its crystal system is orthorhombic. Its spin magnetization is 0.000 Bohr magnetons per cell.

14.
Entry from the Materials Project database: a geometry-optimized TmGa structure (r2SCAN).

Lattice parameters (Å, degrees): 3.989 4.263 5.717 111.89 90.00 90.00
Atoms (fractional coordinates):
Tm 0.250 0.861 0.722
Ga 0.750 0.423 0.846
Tm 0.750 0.139 0.278
Ga 0.250 0.577 0.154

Output
The volume is 22.55 Å³/atom. The energy is -24.018 eV/atom. Its crystal system is orthorhombic. Its spin magnetization is 0.385 Bohr magnetons per cell.

15.
Entry from the Materials Project database: a geometry-optimized LaIn2Ir structure (r2SCAN).

Lattice parameters (Å, degrees): 5.592 5.592 8.193 90.00 90.00 133.06
Atoms (fractional coordinates):
La 0.936 0.064 0.750
In 0.350 0.650 0.051
Ir 0.214 0.786 0.750
Ir 0.786 0.214 0.250
La 0.064 0.936 0.250
In 0.350 0.650 0.449
In 0.650 0.350 0.551
In 0.650 0.350 0.949

Output
The volume is 23.40 Å³/atom. The energy is -32.532 eV/atom. Its crystal system is orthorhombic. Its spin magnetization is 0.000 Bohr magnetons per cell.

16.
Entry from the Materials Project database: a geometry-optimized LaMg2H7 structure (r2SCAN).

Lattice parameters (Å, degrees): 6.338 6.338 9.536 90.00 90.00 90.00
Atoms (fractional coordinates):
Mg 0.738 0.976 0.147
La 0.771 0.229 0.750
H 0.758 0.758 0.000
H 0.336 0.801 0.506
H 0.065 0.568 0.429
H 0.068 0.435 0.179
H 0.032 0.032 0.871
H 0.565 0.932 0.321
Mg 0.524 0.238 0.397
H 0.258 0.742 0.750
H 0.532 0.468 0.879
H 0.164 0.301 0.744
Mg 0.762 0.476 0.103
H 0.968 0.968 0.629
H 0.968 0.968 0.371
H 0.568 0.065 0.571
H 0.935 0.432 0.929
H 0.699 0.836 0.756
Mg 0.262 0.024 0.647
H 0.301 0.164 0.256
Mg 0.024 0.262 0.353
H 0.532 0.468 0.621
H 0.242 0.242 0.500
Mg 0.238 0.524 0.603
H 0.468 0.532 0.379
H 0.664 0.199 0.006
La 0.271 0.271 0.000
H 0.742 0.258 0.250
H 0.932 0.565 0.679
Mg 0.976 0.738 0.853
La 0.729 0.729 0.500
H 0.468 0.532 0.121
H 0.435 0.068 0.821
H 0.199 0.664 0.994
H 0.801 0.336 0.494
Mg 0.476 0.762 0.897
La 0.229 0.771 0.250
H 0.032 0.032 0.129
H 0.432 0.935 0.071
H 0.836 0.699 0.244

Output
The volume is 9.58 Å³/atom. The energy is -6.661 eV/atom. Its crystal system is tetragonal. Its spin magnetization is 0.000 Bohr magnetons per cell.

17.
Entry from the Materials Project database: a geometry-optimized MnSe structure (r2SCAN).

Lattice parameters (Å, degrees): 4.187 4.187 4.187 60.00 60.00 60.00
Atoms (fractional coordinates):
Se 0.250 0.250 0.250
Mn 0.000 0.000 0.000

Output
The volume is 25.95 Å³/atom. The energy is -15.444 eV/atom. Its crystal system is cubic. Its spin magnetization is 5.000 Bohr magnetons per cell.

18.
Entry from the Materials Project database: a geometry-optimized Na3CaSc3ZnSi8O24 structure (r2SCAN).

Lattice parameters (Å, degrees): 5.520 28.715 11.289 38.16 63.67 69.59
Atoms (fractional coordinates):
Na 0.250 0.856 0.287
Si 0.275 0.514 0.735
Si 0.274 0.765 0.732
O 0.396 0.756 0.315
O 0.604 0.746 0.681
O 0.896 0.494 0.339
O 0.403 0.009 0.308
O 0.164 0.207 0.979
Zn 0.750 0.198 0.104
O 0.274 0.845 0.972
O 0.220 0.344 0.648
O 0.664 0.043 0.806
Na 0.750 0.895 0.710
O 0.159 0.952 0.982
O 0.406 0.251 0.321
Si 0.262 0.014 0.741
O 0.274 0.594 0.976
Sc 0.250 0.306 0.888
O 0.104 0.504 0.665
O 0.336 0.207 0.194
O 0.903 0.241 0.343
O 0.801 0.156 0.342
O 0.097 0.009 0.657
Si 0.226 0.765 0.208
O 0.226 0.594 0.649
O 0.906 0.999 0.326
Na 0.250 0.355 0.290
Si 0.738 0.236 0.259
O 0.396 0.504 0.319
O 0.699 0.156 0.035
O 0.726 0.405 0.028
Si 0.238 0.014 0.202
Si 0.762 0.236 0.798
Si 0.735 0.987 0.261
O 0.604 0.494 0.685
Si 0.765 0.987 0.790
Na 0.750 0.645 0.710
Sc 0.250 0.802 0.896
Si 0.225 0.514 0.211
O 0.836 0.043 0.021
O 0.094 0.251 0.674
O 0.774 0.656 0.351
O 0.169 0.457 0.976
O 0.331 0.457 0.196
O 0.669 0.542 0.805
Zn 0.250 0.052 0.896
Na 0.750 0.394 0.713
O 0.726 0.656 0.024
O 0.659 0.298 0.790
O 0.720 0.906 0.023
O 0.331 0.708 0.195
Ca 0.250 0.110 0.281
O 0.780 0.906 0.352
Si 0.265 0.263 0.739
Sc 0.750 0.448 0.104
Sc 0.250 0.552 0.896
O 0.280 0.344 0.977
O 0.669 0.793 0.804
O 0.841 0.298 0.018
Si 0.725 0.736 0.265
O 0.831 0.542 0.026
O 0.896 0.746 0.335
Si 0.775 0.736 0.789
Ca 0.750 0.140 0.719
Na 0.250 0.605 0.290
Sc 0.750 0.944 0.112
O 0.831 0.793 0.024
Si 0.235 0.263 0.210
O 0.774 0.405 0.352
O 0.341 0.952 0.210
O 0.226 0.845 0.648
Si 0.726 0.485 0.268
O 0.597 0.241 0.692
O 0.594 0.999 0.679
O 0.104 0.756 0.661
Si 0.774 0.485 0.792
O 0.169 0.708 0.974
O 0.301 0.094 0.965
Sc 0.750 0.698 0.104
O 0.199 0.094 0.658

Output
The volume is 12.39 Å³/atom. The energy is -9.713 eV/atom. Its crystal system is monoclinic. Its spin magnetization is 0.000 Bohr magnetons per cell.

19.
Entry from the Materials Project database: a geometry-optimized Ca4SeN4 structure (r2SCAN).

Lattice parameters (Å, degrees): 12.875 3.638 13.401 90.00 90.00 90.00
Atoms (fractional coordinates):
Se 0.634 0.750 0.912
Ca 0.541 0.750 0.132
N 0.332 0.750 0.835
N 0.832 0.750 0.665
Ca 0.742 0.250 0.759
Ca 0.007 0.250 0.116
N 0.907 0.750 0.032
Ca 0.732 0.750 0.532
Ca 0.507 0.250 0.384
N 0.407 0.750 0.468
Se 0.366 0.250 0.088
Ca 0.041 0.750 0.368
N 0.390 0.750 0.751
Ca 0.268 0.250 0.468
N 0.093 0.250 0.968
N 0.868 0.750 0.123
Ca 0.232 0.750 0.968
Se 0.866 0.250 0.412
Se 0.134 0.750 0.588
Ca 0.459 0.250 0.868
N 0.668 0.250 0.165
Ca 0.242 0.250 0.741
Ca 0.258 0.750 0.241
Ca 0.758 0.750 0.259
N 0.132 0.250 0.877
Ca 0.993 0.750 0.884
N 0.890 0.750 0.749
Ca 0.493 0.750 0.616
N 0.632 0.250 0.623
N 0.168 0.250 0.335
N 0.368 0.750 0.377
Ca 0.959 0.250 0.632
Ca 0.768 0.250 0.032
N 0.610 0.250 0.249
N 0.110 0.250 0.251
N 0.593 0.250 0.532

Output
The volume is 17.43 Å³/atom. The energy is -9.849 eV/atom. Its crystal system is orthorhombic. Its spin magnetization is 0.863 Bohr magnetons per cell.